## ThRh (r2SCAN)

Data for a relaxed ThRh crystal.

## Properties
The formation energy comes out at -1008 meV per atom. Its calculated density is 11.95 g cm⁻³. The value obtained for the total magnetization is 0.0000 μB per atom.

Cell: 3.8979 11.6559 4.0991 Å, 90.00 90.00 90.00°
Closest atoms and distances in Å follow each position.
Space group Cmcm (No. 63)
Unique sites:
Th 0.0000 0.1354 0.2500 x4  5 Rh 2.86-3.10
Rh 0.0000 0.4010 0.2500 x4  5 Th 2.86-3.10, 2 Rh 3.09